The following is a DFT calculation (PBE) of a relaxed structure of NiSe2.

Calculated values
ΔE_f, eV/atom: -0.5550
Calculated density, g/cm3: 6.615

Cell lengths 3.7134, 4.9010, 5.9755 Å; angles 90.00, 90.00, 90.00 degrees
Positions (direct):
1 Ni 0.5000 0.5000 0.5000
2 Ni 0.0000 0.0000 0.0000
3 Se 0.5000 0.2905 0.8737
4 Se 0.5000 0.7095 0.1263
5 Se 0.0000 0.2095 0.3737
6 Se 0.0000 0.7905 0.6263